1.
This record from the Materials Project describes Na6Zn4Si3Ge4S9O48 after structural relaxation. The functional is PBE-GGA.

Values from the calculation:
Raw total energy: -5.963 eV per atom
Calculated formation energy: -14646 kJ/mol of formula units
Magnetic moment: 0.0 μB/cell
Symmetry: P1, No. 1

```
Na6Zn4Si3Ge4S9O48
1.0
8.650 0.000 0.000
0.028 15.025 0.000
0.082 0.099 22.134
Na Zn Si Ge S O
18 12 9 12 27 144
Direct
0.000 0.000 0.000
0.000 0.665 0.167
0.009 0.330 0.339
0.128 0.498 0.753
0.138 0.168 0.419
0.354 0.669 0.916
0.363 0.997 0.253
0.486 0.833 0.837
0.494 0.822 0.340
0.495 0.500 0.504
0.504 0.163 0.672
0.506 0.492 0.002
0.510 0.172 0.166
0.626 0.000 0.747
0.874 0.497 0.248
0.984 0.673 0.668
0.990 0.992 0.504
0.998 0.316 0.836
0.004 0.335 0.487
0.012 0.671 0.324
0.490 0.836 0.984
0.494 0.169 0.817
0.498 0.169 0.321
0.500 0.827 0.183
0.502 0.493 0.854
0.513 0.831 0.677
0.982 0.329 0.175
0.990 0.317 0.689
0.993 0.993 0.355
0.997 0.673 0.819
0.139 0.812 0.918
0.212 0.171 0.921
0.289 0.671 0.421
0.352 0.308 0.419
0.639 0.978 0.584
0.652 0.681 0.587
0.840 0.182 0.086
0.853 0.142 0.756
0.859 0.479 0.085
0.000 0.664 0.521
0.017 0.008 0.862
0.481 0.499 0.365
0.502 0.167 0.521
0.503 0.162 0.016
0.504 0.503 0.649
0.505 0.820 0.491
0.508 0.495 0.146
0.972 0.000 0.651
0.986 0.320 0.987
0.989 0.666 0.017
0.991 0.004 0.148
0.139 0.515 0.920
0.139 0.853 0.249
0.140 0.145 0.252
0.147 0.480 0.589
0.148 0.180 0.586
0.203 0.832 0.586
0.217 0.497 0.252
0.277 0.994 0.751
0.292 0.331 0.087
0.347 0.981 0.089
0.348 0.680 0.087
0.355 0.015 0.419
0.355 0.645 0.752
0.357 0.356 0.749
0.637 0.356 0.254
0.637 0.641 0.254
0.646 0.312 0.921
0.647 0.018 0.918
0.700 0.332 0.586
0.704 0.663 0.919
0.706 0.997 0.252
0.789 0.163 0.419
0.789 0.499 0.752
0.795 0.831 0.087
0.848 0.810 0.420
0.849 0.519 0.416
0.856 0.854 0.753
0.052 0.910 0.910
0.056 0.763 0.980
0.064 0.765 0.252
0.069 0.427 0.930
0.070 0.899 0.194
0.071 0.233 0.245
0.075 0.551 0.863
0.076 0.215 0.530
0.077 0.571 0.582
0.078 0.104 0.308
0.079 0.441 0.644
0.081 0.087 0.593
0.099 0.752 0.577
0.101 0.261 0.932
0.103 0.081 0.918
0.103 0.913 0.591
0.112 0.082 0.198
0.115 0.578 0.972
0.116 0.576 0.255
0.118 0.908 0.304
0.122 0.416 0.249
0.124 0.427 0.534
0.125 0.236 0.638
0.133 0.744 0.862
0.168 0.321 0.428
0.172 0.988 0.095
0.175 0.648 0.480
0.177 0.006 0.695
0.178 0.671 0.080
0.182 0.009 0.416
0.183 0.647 0.752
0.186 0.980 0.808
0.188 0.351 0.742
0.198 0.350 0.033
0.204 0.690 0.359
0.206 0.316 0.143
0.290 0.813 0.641
0.299 0.848 0.531
0.307 0.189 0.860
0.310 0.845 0.243
0.312 0.147 0.252
0.312 0.509 0.917
0.314 0.486 0.308
0.317 0.511 0.196
0.321 0.171 0.579
0.321 0.489 0.595
0.322 0.150 0.982
0.324 0.821 0.928
0.361 0.246 0.361
0.371 0.926 0.036
0.373 0.075 0.753
0.373 0.734 0.141
0.377 0.914 0.748
0.378 0.410 0.804
0.380 0.078 0.471
0.383 0.582 0.698
0.393 0.416 0.092
0.397 0.254 0.079
0.399 0.760 0.433
0.401 0.581 0.415
0.413 0.943 0.145
0.415 0.071 0.083
0.416 0.604 0.809
0.419 0.049 0.362
0.419 0.588 0.094
0.422 0.716 0.032
0.424 0.732 0.745
0.425 0.927 0.428
0.430 0.268 0.750
0.431 0.401 0.693
0.437 0.261 0.479
0.441 0.406 0.413
0.564 0.721 0.527
0.565 0.949 0.647
0.566 0.268 0.257
0.566 0.728 0.248
0.568 0.080 0.571
0.569 0.397 0.197
0.570 0.597 0.308
0.571 0.581 0.593
0.574 0.401 0.918
0.578 0.269 0.976
0.579 0.056 0.863
0.579 0.929 0.927
0.594 0.412 0.592
0.600 0.250 0.581
0.600 0.584 0.918
0.605 0.917 0.246
0.606 0.077 0.254
0.607 0.416 0.307
0.607 0.911 0.526
0.609 0.744 0.927
0.615 0.583 0.197
0.621 0.075 0.974
0.626 0.260 0.866
0.640 0.737 0.647
0.652 0.169 0.072
0.664 0.489 0.092
0.665 0.146 0.759
0.675 0.513 0.412
0.677 0.820 0.427
0.685 0.849 0.750
0.690 0.512 0.696
0.691 0.147 0.474
0.695 0.486 0.806
0.701 0.173 0.363
0.702 0.846 0.033
0.705 0.817 0.143
0.791 0.318 0.641
0.791 0.347 0.531
0.796 0.673 0.864
0.799 0.984 0.306
0.801 0.646 0.975
0.804 0.010 0.196
0.807 0.350 0.251
0.808 0.647 0.257
0.817 0.011 0.916
0.819 0.321 0.927
0.833 0.986 0.589
0.841 0.669 0.572
0.851 0.237 0.148
0.867 0.759 0.364
0.874 0.576 0.471
0.875 0.078 0.695
0.886 0.244 0.426
0.886 0.580 0.755
0.888 0.411 0.028
0.889 0.910 0.806
0.890 0.421 0.745
0.894 0.084 0.417
0.895 0.749 0.082
0.899 0.911 0.094
0.913 0.557 0.360
0.914 0.429 0.424
0.919 0.767 0.475
0.921 0.899 0.417
0.922 0.081 0.093
0.925 0.764 0.755
0.925 0.892 0.695
0.929 0.581 0.071
0.930 0.223 0.028
0.930 0.450 0.149
0.931 0.089 0.815
0.937 0.237 0.753
```


2.
This record from the Materials Project describes Na4ZnSi2GeSO12 after structural relaxation. The functional is PBE-GGA.

Values from the calculation:
Raw total energy: -5.995 eV per atom
Calculated formation energy: -4689 kJ/mol of formula units
Magnetic moment: 0.0 μB/cell

```
Na4ZnSi2GeSO12
1.0
9.172 0.000 0.000
-4.586 7.709 -0.148
0.000 -0.433 21.972
O Ge S Si Na Zn
72 6 6 12 24 6
Direct
0.708 0.530 0.523
0.304 0.816 0.254
0.120 0.483 0.862
0.476 0.325 0.745
0.534 0.694 0.252
0.214 0.031 0.312
0.160 0.694 0.752
0.453 0.150 0.529
0.195 0.487 0.258
0.116 0.623 0.357
0.493 0.361 0.419
0.845 0.483 0.421
0.375 0.863 0.857
0.638 0.483 0.921
0.821 0.530 0.023
0.880 0.364 0.646
0.173 0.956 0.191
0.959 0.820 0.091
0.543 0.845 0.478
0.506 0.623 0.857
0.861 0.820 0.591
0.804 0.789 0.306
0.827 0.027 0.086
0.488 0.164 0.246
0.318 0.456 0.473
0.138 0.456 0.973
0.809 0.991 0.412
0.016 0.202 0.912
0.201 0.027 0.586
0.010 0.830 0.413
0.142 0.658 0.079
0.683 0.535 0.246
0.450 0.289 0.024
0.547 0.698 0.979
0.154 0.497 0.579
0.179 0.150 0.087
0.985 0.789 0.806
0.186 0.202 0.412
0.343 0.497 0.079
0.876 0.511 0.145
0.787 0.817 0.196
0.209 0.178 0.811
0.512 0.816 0.754
0.867 0.361 0.919
0.636 0.511 0.645
0.515 0.658 0.579
0.350 0.869 0.579
0.821 0.830 0.913
0.471 0.122 0.640
0.182 0.991 0.912
0.626 0.153 0.425
0.363 0.483 0.362
0.817 0.031 0.812
0.528 0.153 0.925
0.849 0.325 0.245
0.484 0.364 0.146
0.302 0.845 0.978
0.292 0.487 0.758
0.783 0.956 0.691
0.519 0.869 0.079
0.030 0.817 0.696
0.971 0.150 0.587
0.155 0.196 0.690
0.651 0.122 0.140
0.852 0.535 0.746
0.697 0.150 0.029
0.488 0.863 0.357
0.676 0.164 0.746
0.840 0.289 0.524
0.042 0.196 0.190
0.969 0.178 0.311
0.151 0.698 0.479
0.043 0.013 0.148
0.376 0.680 0.815
0.970 0.013 0.648
0.637 0.346 0.982
0.709 0.346 0.482
0.304 0.680 0.315
0.705 0.711 0.250
0.038 0.377 0.917
0.006 0.711 0.750
0.673 0.044 0.083
0.371 0.044 0.583
0.339 0.377 0.417
0.631 0.669 0.920
0.005 0.292 0.253
0.298 0.002 0.253
0.339 0.959 0.920
0.620 0.959 0.420
0.038 0.669 0.420
0.371 0.335 0.087
0.672 0.625 0.587
0.964 0.335 0.587
0.704 0.002 0.753
0.953 0.625 0.087
0.287 0.292 0.753
0.990 0.624 0.243
0.323 0.027 0.414
0.709 0.683 0.419
0.307 0.349 0.586
0.990 0.360 0.747
0.370 0.360 0.247
0.968 0.291 0.410
0.641 0.016 0.253
0.037 0.693 0.580
0.323 0.291 0.910
0.989 0.992 0.496
0.656 0.693 0.080
0.042 0.349 0.086
0.003 0.992 0.996
0.704 0.027 0.914
0.974 0.683 0.919
0.375 0.016 0.753
0.656 0.958 0.576
0.336 0.658 0.662
0.323 0.658 0.162
0.635 0.624 0.743
0.669 0.325 0.329
0.656 0.325 0.829
0.301 0.958 0.076
0.000 0.003 0.849
0.003 0.003 0.349
0.333 0.669 0.516
0.669 0.336 0.682
0.336 0.669 0.016
0.666 0.336 0.182
```


3.
This record from the Materials Project describes Na2ZnSiGeS2O12 after structural relaxation. The functional is PBE-GGA.

Values from the calculation:
Raw total energy: -5.947 eV per atom
Calculated formation energy: -3824 kJ/mol of formula units
Magnetic moment: 0.0 μB/cell
Symmetry: Cc, No. 9

```
Na2ZnSiGeS2O12
1.0
7.600 -4.385 0.000
7.600 4.385 0.000
-0.220 0.000 22.039
Na Zn Si Ge S O
12 6 6 6 12 72
Direct
0.003 0.997 0.500
0.005 0.371 0.748
0.309 0.669 0.079
0.328 0.336 0.667
0.331 0.974 0.918
0.336 0.328 0.167
0.371 0.005 0.248
0.656 0.683 0.834
0.669 0.309 0.579
0.683 0.656 0.334
0.974 0.331 0.418
0.997 0.003 0.000
0.032 0.983 0.856
0.330 0.338 0.522
0.338 0.330 0.022
0.672 0.681 0.690
0.681 0.672 0.190
0.983 0.032 0.356
0.007 0.314 0.260
0.314 0.007 0.760
0.343 0.621 0.926
0.380 0.969 0.092
0.621 0.343 0.426
0.969 0.380 0.592
0.021 0.024 0.154
0.024 0.021 0.654
0.332 0.356 0.320
0.356 0.332 0.820
0.657 0.667 0.988
0.667 0.657 0.488
0.015 0.718 0.753
0.032 0.354 0.921
0.041 0.637 0.422
0.288 0.714 0.256
0.354 0.032 0.421
0.372 0.685 0.590
0.637 0.041 0.922
0.683 0.955 0.588
0.685 0.372 0.090
0.714 0.288 0.756
0.718 0.015 0.253
0.955 0.683 0.088
0.025 0.807 0.411
0.036 0.805 0.697
0.061 0.167 0.201
0.109 0.380 0.864
0.121 0.512 0.366
0.135 0.532 0.083
0.143 0.559 0.476
0.150 0.314 0.973
0.162 0.349 0.582
0.167 0.061 0.701
0.180 0.821 0.922
0.181 0.539 0.755
0.183 0.971 0.094
0.185 0.787 0.196
0.192 0.849 0.594
0.198 0.822 0.308
0.204 0.310 0.265
0.207 0.997 0.415
0.227 0.992 0.821
0.304 0.534 0.258
0.310 0.204 0.765
0.314 0.150 0.473
0.329 0.534 0.987
0.349 0.162 0.082
0.353 0.530 0.583
0.375 0.493 0.863
0.380 0.109 0.364
0.446 0.720 0.532
0.464 0.694 0.252
0.470 0.831 0.030
0.481 0.661 0.643
0.482 0.879 0.153
0.493 0.375 0.363
0.503 0.841 0.749
0.512 0.121 0.866
0.526 0.860 0.429
0.527 0.642 0.927
0.530 0.353 0.083
0.532 0.135 0.583
0.534 0.304 0.758
0.534 0.329 0.487
0.539 0.181 0.255
0.559 0.143 0.976
0.642 0.527 0.427
0.647 0.864 0.925
0.659 0.879 0.642
0.661 0.481 0.143
0.687 0.865 0.248
0.694 0.464 0.752
0.704 0.846 0.531
0.720 0.446 0.032
0.787 0.185 0.696
0.805 0.036 0.197
0.807 0.025 0.911
0.819 0.988 0.308
0.821 0.180 0.422
0.822 0.198 0.808
0.831 0.470 0.530
0.841 0.503 0.249
0.846 0.704 0.031
0.849 0.192 0.094
0.850 0.966 0.590
0.860 0.526 0.929
0.864 0.647 0.425
0.865 0.687 0.748
0.879 0.482 0.653
0.879 0.659 0.142
0.966 0.850 0.090
0.971 0.183 0.594
0.988 0.819 0.808
0.992 0.227 0.321
0.997 0.207 0.915
```